DFT (r²SCAN) results for ZnRe2O8 after structural relaxation.

## Properties
V   16.418 Å³ per atom
Crystal system   trigonal
Energy of formation from the pure elements   -18.36 eV/f.u.
Electronic total energy   -0.6009 Ha/atom

Unit cell a=5.7148 b=5.7148 c=6.3851 alpha=90.00 beta=90.00 gamma=120.00
With the nearest neighbours (Å) after each atom.
Sites, in units of the cell vectors:
1 O 0.1866 0.8515 0.1871  1 Re 1.74
2 Re 0.6667 0.3333 0.7221  4 O 1.72-1.74
3 O 0.1485 0.3352 0.1871  1 Re 1.74
4 Re 0.3333 0.6667 0.2779  4 O 1.72-1.74
5 O 0.6648 0.8134 0.1871  1 Re 1.74
6 O 0.8134 0.1485 0.8129  1 Re 1.74
7 O 0.6667 0.3333 0.4522  1 Re 1.72
8 Zn 0.0000 0.0000 0.0000  6 O 2.05
9 O 0.3333 0.6667 0.5478  1 Re 1.72
10 O 0.3351 0.1866 0.8129  1 Re 1.74
11 O 0.8515 0.6649 0.8129  1 Re 1.74

DFT (r²SCAN) results for Sr6Rh5O15 after structural relaxation.

## Properties
V   13.564 Å³ per atom
Crystal system   trigonal
Energy of formation from the pure elements   -51.86 eV/f.u.
Electronic total energy   -0.4989 Ha/atom

Unit cell a=7.0786 b=7.0786 c=7.0786 alpha=86.39 beta=86.39 gamma=86.39
With the nearest neighbours (Å) after each atom.
Sites, in units of the cell vectors:
1 Rh 0.0955 0.0955 0.0955  6 O 2.03
2 Rh 0.9045 0.9045 0.9045  6 O 2.03
3 O 0.6523 0.4374 0.7360  2 Rh 1.99-2.06
4 O 0.0153 0.2071 0.3469  2 Rh 2.03-2.08
5 O 0.7360 0.6523 0.4374  2 Rh 1.99-2.06
6 Rh 0.5000 0.5000 0.5000  6 O 2.06
7 Rh 0.2904 0.2904 0.2904  6 O 1.99-2.08
8 O 0.2640 0.5626 0.3477  2 Rh 1.99-2.06
9 O 0.8346 0.1654 0.0000  2 Rh 2.03
10 Sr 0.1454 0.8546 0.5000  6 O 2.47-2.68
11 Sr 0.8546 0.5000 0.1454  6 O 2.47-2.68
12 Sr 0.3199 0.6801 0.0000  6 O 2.53-2.68
13 Rh 0.7096 0.7096 0.7096  6 O 1.99-2.08
14 O 0.3469 0.0153 0.2071  2 Rh 2.03-2.08
15 Sr 0.0000 0.3199 0.6801  6 O 2.53-2.68
16 O 0.1654 0.0000 0.8346  2 Rh 2.03
17 O 0.9847 0.6531 0.7929  2 Rh 2.03-2.08
18 O 0.3477 0.2640 0.5626  2 Rh 1.99-2.06
19 Sr 0.6801 0.0000 0.3199  6 O 2.53-2.68
20 O 0.6531 0.7929 0.9847  2 Rh 2.03-2.08
21 O 0.4374 0.7360 0.6523  2 Rh 1.99-2.06
22 O 0.0000 0.8346 0.1654  2 Rh 2.03
23 O 0.2071 0.3469 0.0153  2 Rh 2.03-2.08
24 O 0.5626 0.3477 0.2640  2 Rh 1.99-2.06
25 O 0.7929 0.9847 0.6531  2 Rh 2.03-2.08
26 Sr 0.5000 0.1454 0.8546  6 O 2.47-2.68

DFT (r²SCAN) results for SrRhO3 after structural relaxation.

## Properties
V   12.177 Å³ per atom
Crystal system   orthorhombic
Energy of formation from the pure elements   -9.21 eV/f.u.
Electronic total energy   -0.4881 Ha/atom

Unit cell a=5.5630 b=5.5743 c=7.8539 alpha=90.00 beta=90.00 gamma=90.00
With the nearest neighbours (Å) after each atom.
Sites, in units of the cell vectors:
1 O 0.2089 0.7091 0.4649  2 Rh 2.01
2 O 0.5688 0.5097 0.2500  2 Rh 2.00
3 O 0.2911 0.2091 0.0350  2 Rh 2.01
4 Rh 0.5000 0.5000 0.0000  6 O 2.00-2.01
5 O 0.7911 0.2909 0.5349  2 Rh 2.01
6 O 0.0687 0.9903 0.7500  2 Rh 2.00
7 Sr 0.9943 0.5355 0.7500  8 O 2.44-2.72
8 Sr 0.0057 0.4645 0.2500  8 O 2.44-2.72
9 Rh 0.0000 0.0000 0.0000  6 O 2.00-2.01
10 Rh 0.0000 0.0000 0.5000  6 O 2.00-2.01
11 Rh 0.5000 0.5000 0.5000  6 O 2.00-2.01
12 O 0.7089 0.7910 0.5349  2 Rh 2.01
13 O 0.2089 0.7090 0.0350  2 Rh 2.01
14 O 0.2911 0.2090 0.4649  2 Rh 2.01
15 O 0.7911 0.2910 0.9651  2 Rh 2.01
16 O 0.4313 0.4903 0.7500  2 Rh 2.00
17 Sr 0.5056 0.0355 0.7500  8 O 2.44-2.72
18 Sr 0.4944 0.9645 0.2500  8 O 2.44-2.72
19 O 0.9312 0.0097 0.2500  2 Rh 2.00
20 O 0.7089 0.7909 0.9651  2 Rh 2.01

DFT (r²SCAN) results for Sr2RhO4 after structural relaxation.

## Properties
V   13.742 Å³ per atom
Crystal system   monoclinic
Energy of formation from the pure elements   -15.55 eV/f.u.
Electronic total energy   -0.4928 Ha/atom

Unit cell a=5.4517 b=5.4517 c=13.5039 alpha=101.60 beta=101.60 gamma=90.01
With the nearest neighbours (Å) after each atom.
Sites, in units of the cell vectors:
1 O 0.3291 0.8298 0.6594  1 Rh 2.06
2 Rh 0.9999 0.0001 0.0000  6 O 1.97-2.06
3 Sr 0.1756 0.1753 0.3515  7 O 2.47-2.73
4 O 0.0501 0.4499 0.5000  2 Rh 1.97
5 O 0.8001 0.3003 0.0007  2 Rh 1.97
6 O 0.8301 0.3290 0.6594  1 Rh 2.06
7 O 0.6999 0.8001 0.0000  2 Rh 1.97
8 O 0.4209 0.4202 0.8406  1 Rh 2.06
9 O 0.1997 0.6999 0.9993  2 Rh 1.97
10 O 0.1710 0.6699 0.3406  1 Rh 2.06
11 O 0.4502 0.0498 0.5000  2 Rh 1.97
12 Sr 0.9255 0.4254 0.8515  7 O 2.46-2.74
13 Rh 0.2501 0.7499 0.5000  6 O 1.97-2.06
14 Sr 0.5744 0.0747 0.1485  7 O 2.47-2.73
15 Sr 0.3247 0.3244 0.6485  7 O 2.47-2.73
16 Sr 0.0746 0.5745 0.1485  7 O 2.46-2.74
17 Rh 0.7501 0.2499 0.5000  6 O 1.97-2.06
18 O 0.6702 0.1709 0.3406  1 Rh 2.06
19 O 0.2998 0.2002 0.0000  2 Rh 1.97
20 Sr 0.8245 0.8246 0.6485  7 O 2.46-2.74
21 O 0.5790 0.5801 0.1594  1 Rh 2.06
22 Sr 0.4253 0.9256 0.8515  7 O 2.47-2.73
23 O 0.0798 0.0791 0.1594  1 Rh 2.06
24 Sr 0.6754 0.6755 0.3515  7 O 2.46-2.74
25 O 0.5503 0.5501 0.5007  2 Rh 1.97
26 Rh 0.4999 0.5001 0.0000  6 O 1.97-2.06
27 O 0.9199 0.9210 0.8406  1 Rh 2.06
28 O 0.9499 0.9497 0.4993  2 Rh 1.97

DFT (r²SCAN) results for Sr3Rh2O7 after structural relaxation.

## Properties
V   13.118 Å³ per atom
Crystal system   orthorhombic
Energy of formation from the pure elements   -24.74 eV/f.u.
Electronic total energy   -0.4908 Ha/atom

Unit cell a=10.8112 b=10.8112 c=5.4867 alpha=90.00 beta=90.00 gamma=150.60
With the nearest neighbours (Å) after each atom.
Sites, in units of the cell vectors:
1 Sr 0.1866 0.8134 0.5000  3 O 2.42-2.50
2 Rh 0.9028 0.0972 0.0000  6 O 1.98-2.03
3 O 0.2924 0.0997 0.6961  2 Rh 1.98
4 Rh 0.5972 0.4028 0.5000  6 O 1.98-2.03
5 O 0.4003 0.2076 0.1961  2 Rh 1.98
6 Sr 0.8134 0.1866 0.5000  3 O 2.42-2.50
7 Rh 0.4028 0.5972 0.5000  6 O 1.98-2.03
8 O 0.6938 0.3062 0.5000  1 Rh 2.02
9 O 0.7924 0.5997 0.8039  2 Rh 1.98
10 O 0.8062 0.1938 0.0000  1 Rh 2.02
11 Sr 0.0000 0.0000 0.5000  8 O 2.53-2.74
12 O 0.9003 0.7076 0.3039  2 Rh 1.98
13 O 0.1938 0.8062 0.0000  1 Rh 2.02
14 O 0.5997 0.7924 0.1961  2 Rh 1.98
15 Rh 0.0972 0.9028 0.0000  6 O 1.98-2.03
16 Sr 0.3134 0.6866 0.0000  3 O 2.42-2.50
17 Sr 0.6866 0.3134 0.0000  3 O 2.42-2.50
18 Sr 0.5000 0.5000 0.0000  8 O 2.53-2.74
19 O 0.7076 0.9003 0.6961  2 Rh 1.98
20 O 0.2076 0.4003 0.8039  2 Rh 1.98
21 O 0.5000 0.5000 0.5000  2 Rh 2.03
22 O 0.0997 0.2924 0.3039  2 Rh 1.98
23 O 0.3062 0.6938 0.5000  1 Rh 2.02
24 O 0.0000 0.0000 0.0000  2 Rh 2.03

DFT (r²SCAN) results for SrRhO3 after structural relaxation.

## Properties
V   12.171 Å³ per atom
Crystal system   orthorhombic
Energy of formation from the pure elements   -9.17 eV/f.u.
Electronic total energy   -0.4878 Ha/atom

Unit cell a=5.5588 b=5.5588 c=5.5588 alpha=120.61 beta=119.09 gamma=90.26
With the nearest neighbours (Å) after each atom.
Sites, in units of the cell vectors:
1 Sr 0.2561 0.7500 0.5061  5 O 2.41-2.52
2 Sr 0.7439 0.2500 0.4939  5 O 2.41-2.52
3 O 0.8277 0.7500 0.0777  2 Rh 2.01
4 O 0.7051 0.7051 0.5000  2 Rh 2.00
5 O 0.2949 0.2949 0.5000  2 Rh 2.00
6 Rh 0.5000 0.5000 0.0000  6 O 2.00-2.01
7 O 0.1723 0.2500 0.9223  2 Rh 2.01
8 O 0.7051 0.2051 0.0000  2 Rh 2.00
9 O 0.2949 0.7949 0.0000  2 Rh 2.00
10 Rh 0.0000 0.0000 0.0000  6 O 2.00-2.01

DFT (r²SCAN) results for Sr3TbRhO6 after structural relaxation.

## Properties
V   14.308 Å³ per atom
Crystal system   trigonal
Energy of formation from the pure elements   -31.10 eV/f.u.
Electronic total energy   -0.5604 Ha/atom

Unit cell a=6.8069 b=6.8069 c=6.8069 alpha=92.04 beta=92.04 gamma=92.04
With the nearest neighbours (Å) after each atom.
Sites, in units of the cell vectors:
1 O 0.9107 0.0451 0.7089  1 Rh 2.09, 1 Tb 2.28
2 Sr 0.2500 0.8807 0.6193  8 O 2.53-2.74
3 Rh 0.0000 0.0000 0.0000  6 O 2.09
4 O 0.0451 0.7089 0.9107  1 Rh 2.09, 1 Tb 2.28
5 Sr 0.3807 0.7500 0.1193  8 O 2.53-2.74
6 O 0.2911 0.0893 0.9549  1 Rh 2.09, 1 Tb 2.28
7 Sr 0.1193 0.3807 0.7500  8 O 2.53-2.74
8 O 0.5451 0.4107 0.2089  1 Rh 2.09, 1 Tb 2.28
9 Rh 0.5000 0.5000 0.5000  6 O 2.09
10 O 0.7911 0.4549 0.5893  1 Rh 2.09, 1 Tb 2.28
11 O 0.0893 0.9549 0.2911  1 Rh 2.09, 1 Tb 2.28
12 O 0.4549 0.5893 0.7911  1 Rh 2.09, 1 Tb 2.28
13 O 0.4107 0.2089 0.5451  1 Rh 2.09, 1 Tb 2.28
14 O 0.9549 0.2911 0.0893  1 Rh 2.09, 1 Tb 2.28
15 Sr 0.6193 0.2500 0.8807  8 O 2.53-2.74
16 Sr 0.7500 0.1193 0.3807  8 O 2.53-2.74
17 Tb 0.7500 0.7500 0.7500  6 O 2.28
18 O 0.2089 0.5451 0.4107  1 Rh 2.09, 1 Tb 2.28
19 Sr 0.8807 0.6193 0.2500  8 O 2.53-2.74
20 O 0.7089 0.9107 0.0451  1 Rh 2.09, 1 Tb 2.28
21 Tb 0.2500 0.2500 0.2500  6 O 2.28
22 O 0.5893 0.7911 0.4549  1 Rh 2.09, 1 Tb 2.28

DFT (r²SCAN) results for RuO4 after structural relaxation.

## Properties
V   15.094 Å³ per atom
Crystal system   monoclinic
Energy of formation from the pure elements   -3.38 eV/f.u.
Electronic total energy   -0.3873 Ha/atom

Unit cell a=4.3741 b=5.1046 c=7.8445 alpha=77.23 beta=73.84 gamma=64.62
With the nearest neighbours (Å) after each atom.
Sites, in units of the cell vectors:
1 Ru 0.2449 0.7498 0.2499  4 O 1.69
2 Ru 0.7551 0.2502 0.7501  4 O 1.69
3 O 0.6508 0.9553 0.8075  1 Ru 1.69
4 O 0.9046 0.8094 0.4249  1 Ru 1.69
5 O 0.5869 0.4549 0.3072  1 Ru 1.69
6 O 0.0953 0.1907 0.5751  1 Ru 1.69
7 O 0.3492 0.0447 0.1925  1 Ru 1.69
8 O 0.8611 0.3096 0.9251  1 Ru 1.69
9 O 0.4131 0.5451 0.6928  1 Ru 1.69
10 O 0.1388 0.6903 0.0749  1 Ru 1.69